1.
# Li2TiVO4

A relaxed structure of Li2TiVO4 (PBE with a Hubbard U, the Materials Project).

Cell: 5.2076 11.7112 5.2048 Å, 90.00 68.38 90.00°
Fractional coordinates of all 32 atoms:
Li: 0.5000 0.1250 0.0000
Li: 0.0000 0.3749 0.5000
Li: 0.5000 0.6263 0.0000
Li: 0.0000 0.8734 0.5000
Li: 0.5000 0.0026 0.5000
Li: 0.0000 0.2498 0.0000
Li: 0.5000 0.4981 0.5000
Li: 0.0000 0.7498 0.0000
Ti: 0.0000 0.1270 0.5000
Ti: 0.5000 0.3724 0.0000
Ti: 0.0000 0.6203 0.5000
Ti: 0.5000 0.8786 0.0000
V: 0.0000 0.5022 0.0000
V: 0.5000 0.7506 0.5000
V: 0.0000 0.9961 0.0000
V: 0.5000 0.2519 0.5000
O: 0.7722 0.1234 0.2712
O: 0.2678 0.3773 0.7699
O: 0.7630 0.6299 0.2754
O: 0.2739 0.8704 0.7608
O: 0.2278 0.1234 0.7288
O: 0.7322 0.3773 0.2301
O: 0.2370 0.6299 0.7246
O: 0.7261 0.8704 0.2392
O: 0.2499 0.9991 0.2449
O: 0.7478 0.2499 0.7482
O: 0.2450 0.5011 0.2505
O: 0.7445 0.7495 0.7450
O: 0.2522 0.2499 0.2518
O: 0.7550 0.5011 0.7495
O: 0.2555 0.7495 0.2550
O: 0.7501 0.9991 0.7551

Computed properties:
Energy of formation from the pure elements = -2.740 eV per atom
Energy = -7.2576 eV per atom
Energy relative to the lowest polymorph listed for this composition = 0.0119 eV per atom

2.
# CdNi2O4

A relaxed structure of CdNi2O4 (PBE with a Hubbard U, the Materials Project).

Cell: 5.8337 6.2530 5.8337 Å, 62.20 90.00 117.80°
Fractional coordinates of all 14 atoms:
Cd: 0.0000 0.0000 0.0000
Cd: 0.7500 0.5000 0.7500
Ni: 0.3750 0.2500 0.3750
Ni: 0.8750 0.2500 0.3750
Ni: 0.3750 0.7500 0.3750
Ni: 0.3750 0.7500 0.8750
O: 0.1462 0.2924 0.1395
O: 0.6038 0.2076 0.1819
O: 0.5681 0.7076 0.1462
O: 0.1395 0.7076 0.1462
O: 0.6038 0.2076 0.6105
O: 0.1462 0.2924 0.5681
O: 0.1819 0.7924 0.6038
O: 0.6105 0.7924 0.6038

Computed properties:
Energy of formation from the pure elements = -1.084 eV per atom
Energy = -4.5761 eV per atom

3.
# LiTiFeO4

A relaxed structure of LiTiFeO4 (PBE with a Hubbard U, the Materials Project).

Cell: 5.9329 5.9398 5.9398 Å, 60.45 60.62 60.62°
Fractional coordinates of all 14 atoms:
Li: 0.6250 0.6260 0.6260
Li: 0.2490 0.2453 0.2453
Ti: 0.6164 0.6267 0.1442
Ti: 0.6164 0.1442 0.6267
Fe: 0.1264 0.6235 0.6235
Fe: 0.0051 0.0077 0.0077
O: 0.8638 0.8716 0.8716
O: 0.3993 0.8724 0.8724
O: 0.8705 0.8748 0.3987
O: 0.8705 0.3987 0.8748
O: 0.3961 0.3774 0.3774
O: 0.8395 0.3749 0.3749
O: 0.3859 0.3676 0.8393
O: 0.3859 0.8393 0.3676

Computed properties:
Energy of formation from the pure elements = -2.597 eV per atom
Energy = -7.3197 eV per atom
Energy relative to the lowest polymorph listed for this composition = 0.0210 eV per atom

4.
# LiCo2OF3

A relaxed structure of LiCo2OF3 (PBE with a Hubbard U, the Materials Project).

Cell: 6.1375 6.1375 6.1375 Å, 58.81 58.81 58.81°
Fractional coordinates of all 14 atoms:
Li: 0.5009 0.5009 0.5009
Li: 0.8605 0.8605 0.8605
Co: 0.9898 0.5035 0.5035
Co: 0.5035 0.9898 0.5035
Co: 0.1464 0.1464 0.1464
Co: 0.5035 0.5035 0.9898
O: 0.2714 0.2714 0.2714
O: 0.7314 0.7314 0.7314
F: 0.2587 0.7429 0.2587
F: 0.7429 0.2587 0.2587
F: 0.2587 0.2587 0.7429
F: 0.2592 0.7364 0.7364
F: 0.7364 0.7364 0.2592
F: 0.7364 0.2592 0.7364

Computed properties:
Energy of formation from the pure elements = -2.219 eV per atom
Energy = -5.2856 eV per atom
Energy relative to the lowest polymorph listed for this composition = 0.0000 eV per atom

5.
# Co2OF3

A relaxed structure of Co2OF3 (PBE with a Hubbard U, the Materials Project).

Cell: 5.6439 5.6440 5.6439 Å, 105.55 67.82 69.24°
Fractional coordinates of all 12 atoms:
Co: 0.5358 0.9642 0.5000
Co: 0.2475 0.5003 0.2522
Co: 0.7519 0.5003 0.7478
Co: 0.9661 0.0339 0.0000
O: 0.8082 0.6918 0.5000
O: 0.6902 0.3098 0.0000
F: 0.2801 0.7199 0.0000
F: 0.2201 0.2799 0.5000
F: 0.7497 0.8064 0.0568
F: 0.2504 0.8064 0.5561
F: 0.2503 0.1935 0.9432
F: 0.7497 0.1936 0.4439

Computed properties:
Energy of formation from the pure elements = -1.980 eV per atom
Energy = -5.2401 eV per atom
Energy relative to the lowest polymorph listed for this composition = 0.0000 eV per atom

6.
# Li4V3P8O29

A relaxed structure of Li4V3P8O29 (PBE with a Hubbard U, the Materials Project).

Cell: 9.8040 9.8040 14.2673 Å, 89.91 89.91 59.64°
Fractional coordinates of all 88 atoms:
Li: 0.6702 0.2351 0.0561
Li: 0.2351 0.6702 0.5561
Li: 0.2349 0.1000 0.0563
Li: 0.1000 0.2349 0.5563
Li: 0.7658 0.3249 0.4418
Li: 0.3249 0.7658 0.9418
Li: 0.9631 0.9813 0.9973
Li: 0.9813 0.9631 0.4973
V: 0.9993 0.5671 0.2446
V: 0.9990 0.4404 0.7581
V: 0.5671 0.9993 0.7446
V: 0.4404 0.9990 0.2581
V: 0.5641 0.4346 0.2466
V: 0.4346 0.5641 0.7466
P: 0.6885 0.2209 0.8388
P: 0.6967 0.0839 0.3454
P: 0.2209 0.6885 0.3388
P: 0.3338 0.3273 0.1330
P: 0.3273 0.3338 0.6330
P: 0.0839 0.6967 0.8454
P: 0.9181 0.7768 0.6614
P: 0.2302 0.0853 0.8412
P: 0.7768 0.9181 0.1614
P: 0.0853 0.2302 0.3412
P: 0.9174 0.3053 0.1588
P: 0.6738 0.6597 0.3663
P: 0.6597 0.6738 0.8663
P: 0.7806 0.3139 0.6608
P: 0.3053 0.9174 0.6588
P: 0.3139 0.7806 0.1608
O: 0.7927 0.2325 0.5700
O: 0.6560 0.2589 0.3362
O: 0.7883 0.0065 0.0793
O: 0.6576 0.0814 0.8246
O: 0.5347 0.3790 0.8275
O: 0.4878 0.3247 0.1667
O: 0.3790 0.5347 0.3275
O: 0.2325 0.7927 0.0700
O: 0.2589 0.6560 0.8362
O: 0.4771 0.1883 0.6769
O: 0.5407 0.0788 0.3327
O: 0.3247 0.4878 0.6667
O: 0.3267 0.3170 0.0290
O: 0.3170 0.3267 0.5290
O: 0.1883 0.4771 0.1769
O: 0.3856 0.0846 0.8255
O: 0.3318 0.1830 0.1807
O: 0.0814 0.6576 0.3246
O: 0.9970 0.8008 0.7540
O: 0.0065 0.7883 0.5793
O: 0.0081 0.7904 0.9305
O: 0.0788 0.5407 0.8327
O: 0.1830 0.3318 0.6807
O: 0.9114 0.7433 0.1631
O: 0.0846 0.3856 0.3255
O: 0.2578 0.0886 0.3347
O: 0.8008 0.9970 0.2540
O: 0.7904 0.0081 0.4305
O: 0.2007 0.0118 0.5796
O: 0.7433 0.9114 0.6631
O: 0.9266 0.6158 0.6737
O: 0.0886 0.2578 0.8347
O: 0.8156 0.6623 0.3161
O: 0.9212 0.4605 0.1690
O: 0.0118 0.2007 0.0796
O: 0.0064 0.2275 0.4313
O: 0.9898 0.2093 0.2568
O: 0.9196 0.3472 0.6682
O: 0.6623 0.8156 0.8161
O: 0.6158 0.9266 0.1737
O: 0.8113 0.5247 0.8213
O: 0.6651 0.6765 0.9701
O: 0.6765 0.6651 0.4701
O: 0.6744 0.5106 0.3285
O: 0.4605 0.9212 0.6690
O: 0.5247 0.8113 0.3213
O: 0.7447 0.3391 0.1578
O: 0.8009 0.2046 0.7502
O: 0.7739 0.2001 0.9292
O: 0.6203 0.4701 0.6741
O: 0.5106 0.6744 0.8285
O: 0.4701 0.6203 0.1741
O: 0.3472 0.9196 0.1682
O: 0.2275 0.0064 0.9313
O: 0.2093 0.9898 0.7568
O: 0.3391 0.7447 0.6578
O: 0.2001 0.7739 0.4292
O: 0.2046 0.8009 0.2502

Computed properties:
Energy of formation from the pure elements = -2.576 eV per atom
Energy = -7.0453 eV per atom
Energy relative to the lowest polymorph listed for this composition = 0.0076 eV per atom

Please write out number 2 again, unchanged.
# CdNi2O4

A relaxed structure of CdNi2O4 (PBE with a Hubbard U, the Materials Project).

Cell: 5.8337 6.2530 5.8337 Å, 62.20 90.00 117.80°
Fractional coordinates of all 14 atoms:
Cd: 0.0000 0.0000 0.0000
Cd: 0.7500 0.5000 0.7500
Ni: 0.3750 0.2500 0.3750
Ni: 0.8750 0.2500 0.3750
Ni: 0.3750 0.7500 0.3750
Ni: 0.3750 0.7500 0.8750
O: 0.1462 0.2924 0.1395
O: 0.6038 0.2076 0.1819
O: 0.5681 0.7076 0.1462
O: 0.1395 0.7076 0.1462
O: 0.6038 0.2076 0.6105
O: 0.1462 0.2924 0.5681
O: 0.1819 0.7924 0.6038
O: 0.6105 0.7924 0.6038

Computed properties:
Energy of formation from the pure elements = -1.084 eV per atom
Energy = -4.5761 eV per atom

> Which of these has the highest energy?

CdNi2O4